# 1
Computed, not measured: a geometry-optimized Gd3Dy structure at the PBE level of DFT.

Summary:
ΔH_f (0 K)   0.2 eV/f.u.
Crystal system   cubic
SG   Pm-3m (221)
Uncorrected energy   -46.65 eV per cell

Geometry as CIF:
```
data_Gd3Dy
_cell_length_a 4.9458
_cell_length_b 4.9458
_cell_length_c 4.9458
_cell_angle_alpha 90.00
_cell_angle_beta 90.00
_cell_angle_gamma 90.00
_symmetry_space_group_name_H-M 'P 1'
_symmetry_Int_Tables_number 1
_symmetry_space_group_name_Hall 'P 1'
loop_
_atom_site_label
_atom_site_fract_x
_atom_site_fract_y
_atom_site_fract_z
Gd1 0.0000 0.5000 0.5000
Gd2 0.5000 0.5000 0.0000
Gd3 0.5000 0.0000 0.5000
Dy1 0.0000 0.0000 0.0000
```

---

# 2
Computed, not measured: a geometry-optimized Cr3Te4 structure at the PBE level of DFT.

Summary:
ΔH_f (0 K)   -2.7 eV/f.u.
Crystal system   monoclinic
SG   C2/m (12)
Uncorrected energy   -42.51 eV per cell
Size of the total moment   1.427 μB/atom

Geometry as CIF:
```
data_Cr3Te4
_cell_length_a 4.0290
_cell_length_b 4.0288
_cell_length_c 12.6420
_cell_angle_alpha 90.22
_cell_angle_beta 90.00
_cell_angle_gamma 120.00
_symmetry_space_group_name_H-M 'P 1'
_symmetry_Int_Tables_number 1
_symmetry_space_group_name_Hall 'P 1'
loop_
_atom_site_label
_atom_site_fract_x
_atom_site_fract_y
_atom_site_fract_z
Cr1 0.0000 0.0000 0.5000
Cr2 0.9982 0.9963 0.2441
Cr3 0.0018 0.0037 0.7559
Te1 0.6637 0.3275 0.1348
Te2 0.6680 0.3359 0.6253
Te3 0.3363 0.6725 0.8652
Te4 0.3320 0.6641 0.3747
```

---

# 3
Computed, not measured: a geometry-optimized Sr3Ho structure at the PBE level of DFT.

Summary:
ΔH_f (0 K)   0.9 eV/f.u.
Crystal system   hexagonal
SG   P6_3/mmc (194)
Uncorrected energy   -17.54 eV per cell
Size of the total moment   0.053 μB/atom

Geometry as CIF:
```
data_Sr3Ho
_cell_length_a 8.0878
_cell_length_b 8.0878
_cell_length_c 6.5656
_cell_angle_alpha 90.00
_cell_angle_beta 90.00
_cell_angle_gamma 120.00
_symmetry_space_group_name_H-M 'P 1'
_symmetry_Int_Tables_number 1
_symmetry_space_group_name_Hall 'P 1'
loop_
_atom_site_label
_atom_site_fract_x
_atom_site_fract_y
_atom_site_fract_z
Sr1 0.1717 0.3434 0.2500
Sr2 0.6566 0.8283 0.2500
Sr3 0.1717 0.8283 0.2500
Sr4 0.8283 0.6566 0.7500
Sr5 0.3434 0.1717 0.7500
Sr6 0.8283 0.1717 0.7500
Ho1 0.3333 0.6667 0.7500
Ho2 0.6667 0.3333 0.2500
```

---

# 4
Computed, not measured: a geometry-optimized LiGd2RuO6 structure at the PBE level of DFT.

Summary:
ΔH_f (0 K)   -27.9 eV/f.u.
Crystal system   monoclinic
SG   P2_1/c (14)
Uncorrected energy   -185.65 eV per cell
Size of the total moment   1.308 μB/atom

Geometry as CIF:
```
data_LiGd2RuO6
_cell_length_a 5.7761
_cell_length_b 5.3866
_cell_length_c 9.3458
_cell_angle_alpha 55.34
_cell_angle_beta 90.00
_cell_angle_gamma 90.00
_symmetry_space_group_name_H-M 'P 1'
_symmetry_Int_Tables_number 1
_symmetry_space_group_name_Hall 'P 1'
loop_
_atom_site_label
_atom_site_fract_x
_atom_site_fract_y
_atom_site_fract_z
Li1 0.5000 0.5000 0.0000
Li2 0.0000 0.5000 0.5000
Gd1 0.0770 0.7308 0.7518
Gd2 0.9230 0.2692 0.2482
Gd3 0.5770 0.2692 0.7482
Gd4 0.4230 0.7308 0.2518
Ru1 0.5000 0.0000 0.5000
Ru2 0.0000 0.0000 0.0000
O1 0.4619 0.8665 0.7447
O2 0.5381 0.1335 0.2553
O3 0.9619 0.1335 0.7553
O4 0.0381 0.8665 0.2447
O5 0.3198 0.6428 0.5534
O6 0.6802 0.3572 0.4466
O7 0.8198 0.3572 0.9466
O8 0.1802 0.6428 0.0534
O9 0.7944 0.7671 0.5595
O10 0.2056 0.2329 0.4405
O11 0.2944 0.2329 0.9405
O12 0.7056 0.7671 0.0595
```